No. 1
! MoP2O7 | the Materials Project | PBE with a Hubbard U | optimized geometry; values from VASP
! Space group: P2_1/c, No. 14
&SYSTEM
  ibrav = 0, nat = 40, ntyp = 3
/
ATOMIC_SPECIES
O 16.00 O.upf
Mo 95.94 Mo.upf
P 30.97 P.upf
CELL_PARAMETERS angstrom
-7.1556 -3.6746 -2.0415
1.3303 -5.3683 5.0001
-3.6887 2.3088 8.7736
ATOMIC_POSITIONS crystal
O 0.8409 0.1153 0.4513
O 0.8582 0.8146 0.3997
O 0.3822 0.6363 0.6041
O 0.9083 0.0010 0.8539
O 0.1916 0.6864 0.3887
O 0.8084 0.3136 0.6113
O 0.3084 0.6864 0.8887
O 0.8822 0.3637 0.8959
O 0.6916 0.3136 0.1113
O 0.4130 0.5380 0.1485
O 0.6932 0.8161 0.6119
O 0.1418 0.1854 0.6003
O 0.3409 0.8847 0.0487
O 0.0917 0.9990 0.1461
O 0.1178 0.6363 0.1041
O 0.6591 0.1153 0.9513
O 0.4083 0.9990 0.6461
O 0.5917 0.0010 0.3539
O 0.8068 0.8161 0.1119
O 0.3068 0.1839 0.3881
O 0.6178 0.3637 0.3959
O 0.5870 0.4620 0.8515
O 0.6418 0.8146 0.8997
O 0.1932 0.1839 0.8881
O 0.9130 0.4620 0.3515
O 0.0870 0.5380 0.6485
O 0.1591 0.8847 0.5487
O 0.3582 0.1854 0.1003
Mo 0.0058 0.2677 0.7478
Mo 0.5058 0.7323 0.7522
Mo 0.4942 0.2677 0.2478
Mo 0.9942 0.7323 0.2522
P 0.7408 0.9296 0.4520
P 0.7901 0.3228 0.4527
P 0.2592 0.0704 0.5480
P 0.2099 0.6772 0.5473
P 0.2408 0.0704 0.0480
P 0.7099 0.3228 0.9527
P 0.2901 0.6772 0.0473
P 0.7592 0.9296 0.9520


No. 2
! MoP2O7 | the Materials Project | PBE with a Hubbard U | optimized geometry; values from VASP
! Space group: P2_1/c, No. 14
&SYSTEM
  ibrav = 0, nat = 40, ntyp = 3
/
ATOMIC_SPECIES
O 16.00 O.upf
P 30.97 P.upf
Mo 95.94 Mo.upf
CELL_PARAMETERS angstrom
-4.5683 2.4373 1.2916
-2.2548 0.4047 -8.7387
-6.2002 -10.6364 -1.8578
ATOMIC_POSITIONS crystal
O 0.4448 0.8356 0.4463
O 0.2757 0.9154 0.2575
O 0.0224 0.1282 0.5818
O 0.5449 0.8591 0.8797
O 0.7243 0.0846 0.7425
O 0.2623 0.1023 0.3792
O 0.5552 0.1644 0.5537
O 0.4776 0.6282 0.0818
O 0.0154 0.8983 0.8609
O 0.5154 0.6017 0.6391
O 0.0449 0.6409 0.6203
O 0.2556 0.9214 0.0583
O 0.7444 0.0786 0.9417
O 0.5224 0.3718 0.9182
O 0.4551 0.1409 0.1203
O 0.4846 0.3983 0.3609
O 0.2243 0.4154 0.7575
O 0.9551 0.3591 0.3797
O 0.9776 0.8718 0.4182
O 0.7757 0.5846 0.2425
O 0.2444 0.4214 0.5583
O 0.7556 0.5786 0.4417
O 0.2377 0.6023 0.8792
O 0.7377 0.8977 0.6208
O 0.0552 0.3356 0.9463
O 0.9846 0.1017 0.1391
O 0.9448 0.6644 0.0537
O 0.7623 0.3977 0.1208
P 0.7408 0.4740 0.3626
P 0.2617 0.4327 0.8822
P 0.2408 0.0260 0.1374
P 0.2383 0.9327 0.3822
P 0.7383 0.5673 0.1178
P 0.7617 0.0673 0.6178
P 0.2592 0.5260 0.6374
P 0.7592 0.9740 0.8626
Mo 0.2518 0.2613 0.4692
Mo 0.7518 0.2387 0.0308
Mo 0.7482 0.7387 0.5308
Mo 0.2482 0.7613 0.9692


No. 3
! MoP2O7 | the Materials Project | PBE with a Hubbard U | optimized geometry; values from VASP
! Space group: P-1, No. 2
&SYSTEM
  ibrav = 0, nat = 20, ntyp = 3
/
ATOMIC_SPECIES
O 16.00 O.upf
P 30.97 P.upf
Mo 95.94 Mo.upf
CELL_PARAMETERS angstrom
6.4871 0.0000 0.0000
-0.6585 -6.4754 0.0000
-2.9571 0.0357 -6.5121
ATOMIC_POSITIONS crystal
O 0.6992 0.1985 0.5107
O 0.5724 0.0914 0.8049
O 0.0848 0.0433 0.2295
O 0.3008 0.8015 0.4893
O 0.9362 0.3313 0.8708
O 0.4276 0.9086 0.1951
O 0.9152 0.9567 0.7705
O 0.0638 0.6687 0.1292
O 0.7831 0.3489 0.2164
O 0.5937 0.6172 0.7845
O 0.7603 0.5858 0.4779
O 0.2169 0.6511 0.7836
O 0.4063 0.3828 0.2155
O 0.2397 0.4142 0.5221
P 0.7652 0.1357 0.7478
P 0.6614 0.3853 0.3540
P 0.3386 0.6147 0.6460
P 0.2348 0.8643 0.2522
Mo 0.9100 0.6505 0.7892
Mo 0.0900 0.3495 0.2108


No. 4
! Mo12PO46 | the Materials Project | PBE with a Hubbard U | optimized geometry; values from VASP
! Space group: Fd-3m, No. 227
&SYSTEM
  ibrav = 0, nat = 118, ntyp = 3
/
ATOMIC_SPECIES
O 16.00 O.upf
Mo 95.94 Mo.upf
P 30.97 P.upf
CELL_PARAMETERS angstrom
2.0808 -10.3000 13.2097
-7.4441 3.5525 14.7269
-12.8814 -9.4533 5.4424
ATOMIC_POSITIONS crystal
O 0.2785 0.1233 0.1233
O 0.9811 0.2341 0.3924
O 0.1233 0.2785 0.4749
O 0.2689 0.8576 0.0159
O 0.4987 0.0013 0.4987
O 0.2425 0.5716 0.2425
O 0.3066 0.0075 0.6784
O 0.9715 0.7751 0.1267
O 0.8576 0.0159 0.8576
O 0.7751 0.9715 0.1267
O 0.0013 0.0013 0.4987
O 0.0075 0.3066 0.6784
O 0.4749 0.1233 0.1233
O 0.1233 0.4749 0.2785
O 0.2785 0.1233 0.4749
O 0.6784 0.3066 0.0075
O 0.3066 0.6784 0.0075
O 0.9811 0.3924 0.2341
O 0.2425 0.5716 0.9434
O 0.2341 0.9811 0.3924
O 0.1267 0.1267 0.9715
O 0.1267 0.7751 0.1267
O 0.1267 0.1267 0.7751
O 0.2487 0.7513 0.2487
O 0.0075 0.0075 0.3066
O 0.7513 0.2487 0.2487
O 0.2425 0.2425 0.9434
O 0.0013 0.4987 0.4987
O 0.5716 0.9434 0.2425
O 0.6784 0.0075 0.3066
O 0.0159 0.2689 0.8576
O 0.3066 0.0075 0.0075
O 0.3924 0.2341 0.9811
O 0.1233 0.2785 0.1233
O 0.3924 0.2341 0.3924
O 0.4987 0.4987 0.0013
O 0.1123 0.9626 0.9626
O 0.2341 0.3924 0.3924
O 0.5716 0.2425 0.9434
O 0.0075 0.6784 0.3066
O 0.1267 0.9715 0.7751
O 0.2425 0.9434 0.5716
O 0.0075 0.6784 0.0075
O 0.8576 0.2689 0.0159
O 0.7513 0.7513 0.2487
O 0.3924 0.9811 0.3924
O 0.1267 0.7751 0.9715
O 0.2425 0.2425 0.5716
O 0.8576 0.2689 0.8576
O 0.2874 0.2874 0.2874
O 0.0075 0.0075 0.6784
O 0.0075 0.3066 0.0075
O 0.9811 0.3924 0.3924
O 0.9715 0.1267 0.7751
O 0.1233 0.4749 0.1233
O 0.6784 0.0075 0.0075
O 0.2487 0.2487 0.7513
O 0.0159 0.8576 0.2689
O 0.2689 0.8576 0.8576
O 0.9434 0.2425 0.5716
O 0.2874 0.1377 0.2874
O 0.9626 0.9626 0.1123
O 0.2874 0.2874 0.1377
O 0.0013 0.4987 0.0013
O 0.5716 0.2425 0.2425
O 0.2487 0.7513 0.7513
O 0.2425 0.9434 0.2425
O 0.8576 0.8576 0.0159
O 0.9626 0.9626 0.9626
O 0.3924 0.3924 0.9811
O 0.9626 0.1123 0.9626
O 0.9715 0.1267 0.1267
O 0.1233 0.1233 0.4749
O 0.1233 0.1233 0.2785
O 0.8576 0.0159 0.2689
O 0.3924 0.9811 0.2341
O 0.4749 0.1233 0.2785
O 0.7751 0.1267 0.1267
O 0.8576 0.8576 0.2689
O 0.1377 0.2874 0.2874
O 0.3924 0.3924 0.2341
O 0.4749 0.2785 0.1233
O 0.1267 0.9715 0.1267
O 0.7751 0.1267 0.9715
O 0.9434 0.5716 0.2425
O 0.2785 0.4749 0.1233
O 0.4987 0.0013 0.0013
O 0.9434 0.2425 0.2425
O 0.2341 0.3924 0.9811
O 0.0159 0.8576 0.8576
O 0.2689 0.0159 0.8576
O 0.7513 0.2487 0.7513
Mo 0.4605 0.2542 0.0310
Mo 0.0310 0.4605 0.2542
Mo 0.2190 0.7895 0.9958
Mo 0.9958 0.2190 0.7895
Mo 0.9958 0.2190 0.9958
Mo 0.9958 0.7895 0.2190
Mo 0.9958 0.7895 0.9958
Mo 0.4605 0.0310 0.2542
Mo 0.7895 0.9958 0.2190
Mo 0.2542 0.0310 0.4605
Mo 0.2542 0.2542 0.0310
Mo 0.9958 0.9958 0.2190
Mo 0.2542 0.4605 0.0310
Mo 0.2190 0.9958 0.7895
Mo 0.2542 0.0310 0.2542
Mo 0.0310 0.2542 0.4605
Mo 0.7895 0.9958 0.9958
Mo 0.9958 0.9958 0.7895
Mo 0.2190 0.9958 0.9958
Mo 0.4605 0.2542 0.2542
Mo 0.2542 0.4605 0.2542
Mo 0.2542 0.2542 0.4605
Mo 0.0310 0.2542 0.2542
Mo 0.7895 0.2190 0.9958
P 0.2500 0.2500 0.2500
P 0.0000 0.0000 0.0000


No. 5
! MoP2O7 | the Materials Project | PBE with a Hubbard U | optimized geometry; values from VASP
! Space group: C2/c, No. 15
&SYSTEM
  ibrav = 0, nat = 40, ntyp = 3
/
ATOMIC_SPECIES
O 16.00 O.upf
P 30.97 P.upf
Mo 95.94 Mo.upf
CELL_PARAMETERS angstrom
4.1790 5.0005 0.0000
-4.1790 5.0005 0.0000
0.0000 4.9098 12.6189
ATOMIC_POSITIONS crystal
O 0.4455 0.5374 0.1423
O 0.3897 0.1985 0.0187
O 0.8698 0.0768 0.8826
O 0.1302 0.9232 0.1174
O 0.5545 0.4626 0.8577
O 0.6456 0.8101 0.6276
O 0.5374 0.4455 0.6423
O 0.2213 0.5890 0.9872
O 0.3544 0.1899 0.3724
O 0.4155 0.9825 0.1993
O 0.4626 0.5545 0.3577
O 0.7329 0.9060 0.3240
O 0.4110 0.7787 0.5128
O 0.9232 0.1302 0.6174
O 0.5890 0.2213 0.4872
O 0.9060 0.7329 0.8240
O 0.8101 0.6456 0.1276
O 0.6103 0.8015 0.9813
O 0.1985 0.3897 0.5187
O 0.0768 0.8698 0.3826
O 0.8015 0.6103 0.4813
O 0.5845 0.0175 0.8007
O 0.0940 0.2671 0.1760
O 0.7787 0.4110 0.0128
O 0.2671 0.0940 0.6760
O 0.9825 0.4155 0.6993
O 0.1899 0.3544 0.8724
O 0.0175 0.5845 0.3007
P 0.9116 0.7531 0.3664
P 0.3348 0.4100 0.9301
P 0.6652 0.5900 0.0699
P 0.2469 0.0884 0.1336
P 0.7531 0.9116 0.8664
P 0.0884 0.2469 0.6336
P 0.5900 0.6652 0.5699
P 0.4100 0.3348 0.4301
Mo 0.8794 0.4065 0.8558
Mo 0.1206 0.5935 0.1442
Mo 0.5935 0.1206 0.6442
Mo 0.4065 0.8794 0.3558


No. 6
! Mo3P4O16 | the Materials Project | PBE with a Hubbard U | optimized geometry; values from VASP
! Space group: P2_1, No. 4
&SYSTEM
  ibrav = 0, nat = 46, ntyp = 3
/
ATOMIC_SPECIES
O 16.00 O.upf
P 30.97 P.upf
Mo 95.94 Mo.upf
CELL_PARAMETERS angstrom
-5.5520 4.3988 3.5450
2.5198 -2.4341 6.9667
6.9205 7.7700 1.1973
ATOMIC_POSITIONS crystal
O 0.1431 0.6917 0.2907
O 0.9202 0.1149 0.3365
O 0.1896 0.6613 0.0171
O 0.8670 0.8267 0.9813
O 0.4202 0.8851 0.6635
O 0.8787 0.5172 0.6289
O 0.5733 0.5892 0.5855
O 0.1172 0.9866 0.6219
O 0.3670 0.1733 0.0187
O 0.6431 0.3083 0.7093
O 0.3061 0.1702 0.2487
O 0.6389 0.3200 0.2196
O 0.6896 0.3387 0.9829
O 0.7057 0.3530 0.4718
O 0.8637 0.5031 0.1514
O 0.3637 0.4969 0.8486
O 0.8223 0.8454 0.2411
O 0.6172 0.0134 0.3781
O 0.1389 0.6800 0.7804
O 0.3588 0.1586 0.5253
O 0.3223 0.1546 0.7589
O 0.3787 0.4828 0.3711
O 0.6307 0.0130 0.8854
O 0.2057 0.6470 0.5282
O 0.0579 0.3965 0.9215
O 0.0733 0.4108 0.4145
O 0.4443 0.9019 0.1644
O 0.9443 0.0981 0.8356
O 0.1307 0.9870 0.1146
O 0.8588 0.8414 0.4747
O 0.5579 0.6035 0.0785
O 0.8061 0.8298 0.7513
P 0.2045 0.5570 0.3945
P 0.6714 0.4557 0.0943
P 0.7045 0.4430 0.6055
P 0.1714 0.5443 0.9057
P 0.8194 0.9613 0.8646
P 0.2976 0.0476 0.6448
P 0.3194 0.0387 0.1354
P 0.7976 0.9524 0.3552
Mo 0.9744 0.7649 0.6349
Mo 0.0084 0.7625 0.1263
Mo 0.8660 0.3555 0.3194
Mo 0.4744 0.2351 0.3651
Mo 0.3660 0.6445 0.6806
Mo 0.5084 0.2375 0.8737


No. 7
! MoP5O15 | the Materials Project | PBE with a Hubbard U | optimized geometry; values from VASP
! Space group: P2_1/m, No. 11
&SYSTEM
  ibrav = 0, nat = 42, ntyp = 3
/
ATOMIC_SPECIES
O 16.00 O.upf
P 30.97 P.upf
Mo 95.94 Mo.upf
CELL_PARAMETERS angstrom
-7.2712 10.9515 -4.8672
-0.8001 -2.5765 -4.6020
-7.6981 -4.5010 1.3727
ATOMIC_POSITIONS crystal
O 0.7500 0.2666 0.9387
O 0.8793 0.7202 0.5065
O 0.3569 0.8726 0.7019
O 0.0293 0.4933 0.7181
O 0.5813 0.1586 0.5609
O 0.3367 0.4597 0.8969
O 0.0813 0.8414 0.4391
O 0.2500 0.9646 0.4739
O 0.7500 0.0354 0.5261
O 0.2500 0.7334 0.0613
O 0.4707 0.4933 0.7181
O 0.8367 0.5403 0.1031
O 0.5220 0.2298 0.0794
O 0.8569 0.1274 0.2981
O 0.6431 0.1274 0.2981
O 0.5293 0.5067 0.2819
O 0.1633 0.4597 0.8969
O 0.1207 0.2798 0.4935
O 0.2500 0.2658 0.1495
O 0.7500 0.7342 0.8505
O 0.4780 0.7702 0.9206
O 0.0220 0.7702 0.9206
O 0.3793 0.2798 0.4935
O 0.9780 0.2298 0.0794
O 0.6633 0.5403 0.1031
O 0.1431 0.8726 0.7019
O 0.9707 0.5067 0.2819
O 0.9187 0.1586 0.5609
O 0.6207 0.7202 0.5065
O 0.4187 0.8414 0.4391
P 0.1425 0.9925 0.5244
P 0.5783 0.3499 0.1798
P 0.9217 0.3499 0.1798
P 0.4217 0.6501 0.8202
P 0.8575 0.0075 0.4756
P 0.2500 0.4851 0.0084
P 0.0783 0.6501 0.8202
P 0.6425 0.0075 0.4756
P 0.7500 0.5149 0.9916
P 0.3575 0.9925 0.5244
Mo 0.0000 0.5000 0.5000
Mo 0.5000 0.5000 0.5000


no.,ΔE_f (kcal/mol of atoms),MP2020-corrected energy (eV for the cell shown),theoretical density (Mg/m³)
1,-57.729,-325.37,3.18
2,-57.640,-325.21,3.07
3,-55.369,-160.64,3.28
4,-33.587,-898.20,1.87
5,-57.299,-324.62,3.40
6,-52.620,-371.68,3.44
7,-57.138,-328.33,2.49